Na6Mg2Si5Sn6S7O48 | PBE | relaxed

The structure in CIF format:
```
data_Na6Mg2Si5Sn6S7O48
_cell_length_a 8.892
_cell_length_b 15.249
_cell_length_c 22.953
_cell_angle_alpha 89.86
_cell_angle_beta 89.79
_cell_angle_gamma 89.99
_space_group_name_H-M_alt 'P 1'
_space_group_IT_number 1
loop_
_space_group_symop_operation_xyz
'x,y,z'
loop_
_atom_site_label
_atom_site_fract_x
_atom_site_fract_y
_atom_site_fract_z
Na1 0.000 0.000 0.000
Na2 0.000 0.326 0.834
Na3 0.002 0.665 0.673
Na4 0.010 0.657 0.166
Na5 0.135 0.506 0.748
Na6 0.171 0.809 0.747
Na7 0.335 0.309 0.250
Na8 0.373 0.005 0.251
Na9 0.499 0.156 0.661
Na10 0.506 0.164 0.178
Na11 0.507 0.503 0.499
Na12 0.512 0.503 0.013
Na13 0.518 0.824 0.338
Na14 0.518 0.834 0.832
Na15 0.697 0.676 0.750
Na16 0.811 0.174 0.253
Na17 0.990 0.336 0.334
Na18 0.994 0.995 0.509
Mg1 0.000 0.999 0.154
Mg2 0.001 0.663 0.810
Mg3 0.506 0.162 0.311
Mg4 0.509 0.501 0.651
Mg5 0.516 0.497 0.145
Mg6 0.993 0.994 0.642
Si1 0.147 0.182 0.584
Si2 0.150 0.140 0.249
Si3 0.207 0.164 0.917
Si4 0.299 0.662 0.417
Si5 0.356 0.643 0.747
Si6 0.362 0.682 0.084
Si7 0.642 0.354 0.249
Si8 0.650 0.014 0.920
Si9 0.652 0.974 0.582
Si10 0.710 0.993 0.247
Si11 0.797 0.491 0.748
Si12 0.854 0.473 0.082
Si13 0.859 0.513 0.420
Si14 0.860 0.814 0.416
Si15 0.863 0.854 0.749
Sn1 0.005 0.329 0.482
Sn2 0.005 0.661 0.324
Sn3 0.007 0.665 0.513
Sn4 0.008 0.328 0.983
Sn5 0.014 0.659 0.023
Sn6 0.494 0.157 0.522
Sn7 0.497 0.157 0.819
Sn8 0.497 0.159 0.017
Sn9 0.504 0.829 0.983
Sn10 0.507 0.824 0.186
Sn11 0.513 0.828 0.479
Sn12 0.516 0.501 0.846
Sn13 0.516 0.834 0.685
Sn14 0.518 0.499 0.356
Sn15 0.987 0.996 0.350
Sn16 0.991 0.998 0.855
Sn17 0.992 0.335 0.189
Sn18 0.998 0.327 0.683
S1 0.147 0.846 0.249
S2 0.149 0.806 0.917
S3 0.154 0.479 0.585
S4 0.157 0.516 0.915
S5 0.213 0.827 0.584
S6 0.215 0.501 0.250
S7 0.291 0.999 0.750
S8 0.301 0.327 0.085
S9 0.353 0.018 0.415
S10 0.353 0.977 0.085
S11 0.360 0.306 0.417
S12 0.362 0.347 0.751
S13 0.648 0.312 0.917
S14 0.656 0.679 0.583
S15 0.657 0.641 0.250
S16 0.705 0.332 0.583
S17 0.715 0.661 0.918
S18 0.792 0.163 0.418
S19 0.801 0.832 0.083
S20 0.852 0.143 0.751
S21 0.852 0.179 0.083
O1 0.060 0.103 0.308
O2 0.068 0.228 0.526
O3 0.073 0.242 0.242
O4 0.078 0.087 0.591
O5 0.079 0.757 0.255
O6 0.079 0.767 0.971
O7 0.080 0.566 0.580
O8 0.083 0.440 0.639
O9 0.085 0.428 0.921
O10 0.085 0.887 0.197
O11 0.085 0.896 0.914
O12 0.091 0.557 0.863
O13 0.097 0.251 0.924
O14 0.109 0.075 0.909
O15 0.111 0.578 0.256
O16 0.116 0.745 0.580
O17 0.121 0.424 0.533
O18 0.121 0.754 0.865
O19 0.122 0.905 0.589
O20 0.123 0.417 0.247
O21 0.129 0.247 0.642
O22 0.129 0.901 0.303
O23 0.132 0.078 0.194
O24 0.133 0.569 0.969
O25 0.176 0.684 0.078
O26 0.179 0.656 0.759
O27 0.188 0.010 0.410
O28 0.190 0.985 0.089
O29 0.192 0.314 0.423
O30 0.194 0.339 0.748
O31 0.202 0.013 0.699
O32 0.204 0.640 0.476
O33 0.204 0.683 0.358
O34 0.205 0.987 0.805
O35 0.207 0.309 0.137
O36 0.207 0.337 0.030
O37 0.303 0.810 0.639
O38 0.304 0.486 0.304
O39 0.305 0.147 0.976
O40 0.305 0.513 0.198
O41 0.308 0.188 0.859
O42 0.310 0.836 0.532
O43 0.316 0.814 0.923
O44 0.316 0.840 0.245
O45 0.317 0.484 0.590
O46 0.324 0.504 0.910
O47 0.326 0.156 0.260
O48 0.332 0.185 0.578
O49 0.377 0.071 0.469
O50 0.377 0.576 0.695
O51 0.381 0.401 0.805
O52 0.382 0.748 0.141
O53 0.385 0.917 0.748
O54 0.387 0.926 0.031
O55 0.388 0.254 0.365
O56 0.391 0.405 0.089
O57 0.396 0.078 0.755
O58 0.398 0.246 0.078
O59 0.401 0.573 0.410
O60 0.401 0.751 0.425
O61 0.422 0.059 0.363
O62 0.422 0.930 0.422
O63 0.423 0.938 0.138
O64 0.424 0.396 0.414
O65 0.426 0.387 0.699
O66 0.428 0.066 0.081
O67 0.428 0.267 0.471
O68 0.429 0.587 0.090
O69 0.432 0.743 0.741
O70 0.435 0.258 0.758
O71 0.439 0.727 0.025
O72 0.447 0.610 0.809
O73 0.558 0.397 0.195
O74 0.560 0.938 0.641
O75 0.567 0.917 0.925
O76 0.573 0.399 0.912
O77 0.574 0.073 0.578
O78 0.575 0.054 0.860
O79 0.579 0.255 0.258
O80 0.582 0.272 0.970
O81 0.586 0.592 0.588
O82 0.587 0.721 0.532
O83 0.588 0.732 0.246
O84 0.589 0.608 0.305
O85 0.589 0.907 0.242
O86 0.601 0.077 0.257
O87 0.608 0.408 0.590
O88 0.612 0.915 0.525
O89 0.616 0.250 0.576
O90 0.616 0.581 0.916
O91 0.617 0.741 0.922
O92 0.622 0.412 0.310
O93 0.623 0.257 0.864
O94 0.625 0.590 0.198
O95 0.629 0.076 0.977
O96 0.630 0.731 0.638
O97 0.676 0.840 0.746
O98 0.677 0.503 0.417
O99 0.678 0.480 0.086
O100 0.678 0.822 0.420
O101 0.683 0.155 0.758
O102 0.683 0.177 0.077
O103 0.692 0.509 0.694
O104 0.698 0.153 0.471
O105 0.702 0.173 0.365
O106 0.707 0.465 0.810
O107 0.707 0.848 0.030
O108 0.708 0.815 0.135
O109 0.797 0.314 0.637
O110 0.801 0.969 0.307
O111 0.802 0.348 0.531
O112 0.805 0.671 0.865
O113 0.808 0.651 0.971
O114 0.810 0.011 0.191
O115 0.813 0.320 0.921
O116 0.823 0.673 0.579
O117 0.824 0.651 0.255
O118 0.829 0.340 0.248
O119 0.829 0.981 0.586
O120 0.832 0.004 0.917
O121 0.878 0.091 0.700
O122 0.878 0.233 0.136
O123 0.880 0.754 0.358
O124 0.881 0.911 0.811
O125 0.883 0.572 0.478
O126 0.887 0.414 0.022
O127 0.888 0.244 0.422
O128 0.890 0.750 0.076
O129 0.891 0.085 0.416
O130 0.899 0.908 0.089
O131 0.904 0.575 0.759
O132 0.919 0.092 0.087
O133 0.919 0.109 0.806
O134 0.919 0.221 0.029
O135 0.919 0.406 0.743
O136 0.920 0.233 0.747
O137 0.927 0.756 0.758
O138 0.934 0.773 0.476
O139 0.935 0.550 0.360
O140 0.935 0.571 0.077
O141 0.941 0.415 0.425
O142 0.946 0.909 0.413
O143 0.951 0.434 0.138
O144 0.951 0.898 0.696
```

Values from the calculation:
Formation energy (meV/atom): -2258